Record 1
## Tm2Ga9Co3 (GGA-PBE)

Data for crystalline Tm2Ga9Co3 at its relaxed geometry.

Computed properties:
E_form (eV/atom): -0.48
SG: No. 63

abc: 7.3580 7.3580 9.3744
angles: 90.00 90.00 119.89
Closest atoms and distances in Å follow each position.
Sites, in units of the cell vectors:
Ga 0.0004 0.6661 0.0729  3 Co 2.49-2.55, 3 Ga 2.72-2.75
Ga 0.3354 0.5504 0.7500  2 Co 2.52, 6 Ga 2.73-2.79
Tm 0.0033 0.3314 0.2500  11 Ga 2.96-3.03
Ga 0.3345 0.3345 0.4416  3 Co 2.53-2.56, 5 Ga 2.67-2.79
Tm 0.6686 0.9967 0.7500  11 Ga 2.96-3.03
Ga 0.5504 0.3354 0.7500  2 Co 2.52, 6 Ga 2.73-2.79
Ga 0.9996 0.3339 0.9271  3 Co 2.49-2.55, 3 Ga 2.72-2.75
Co 0.3282 0.6718 0.0000  8 Ga 2.49-2.56
Ga 0.6655 0.6655 0.5584  3 Co 2.53-2.56, 5 Ga 2.67-2.79
Ga 0.6646 0.4496 0.2500  2 Co 2.52, 6 Ga 2.73-2.79
Ga 0.6655 0.6655 0.9416  3 Co 2.53-2.56, 5 Ga 2.67-2.79
Ga 0.6661 0.0004 0.0729  3 Co 2.49-2.55, 3 Ga 2.72-2.75
Co 0.6718 0.3282 0.5000  8 Ga 2.49-2.56
Ga 0.6661 0.0004 0.4271  3 Co 2.49-2.55, 3 Ga 2.72-2.75
Co 0.6718 0.3282 0.0000  8 Ga 2.49-2.56
Tm 0.3314 0.0033 0.2500  11 Ga 2.96-3.03
Ga 0.9996 0.3339 0.5729  3 Co 2.49-2.55, 3 Ga 2.72-2.75
Co 0.3282 0.6718 0.5000  8 Ga 2.49-2.56
Co 0.0000 0.0000 0.5000  8 Ga 2.51-2.55
Tm 0.9967 0.6686 0.7500  11 Ga 2.96-3.03
Ga 0.3339 0.9996 0.9271  3 Co 2.49-2.55, 3 Ga 2.72-2.75
Ga 0.0004 0.6661 0.4271  3 Co 2.49-2.55, 3 Ga 2.72-2.75
Ga 0.3339 0.9996 0.5729  3 Co 2.49-2.55, 3 Ga 2.72-2.75
Ga 0.1207 0.1207 0.7500  2 Co 2.51, 6 Ga 2.72-2.74
Co 0.0000 0.0000 0.0000  8 Ga 2.51-2.55
Ga 0.4496 0.6646 0.2500  2 Co 2.52, 6 Ga 2.73-2.79
Ga 0.3345 0.3345 0.0584  3 Co 2.53-2.56, 5 Ga 2.67-2.79
Ga 0.8793 0.8793 0.2500  2 Co 2.51, 6 Ga 2.72-2.74

***

Record 2
## Tm6GaCo2 (GGA-PBE)

Data for crystalline Tm6GaCo2 at its relaxed geometry.

Computed properties:
E_form (eV/atom): -0.32
SG: No. 71

abc: 8.1772 8.1772 8.1772
angles: 111.55 110.22 106.68
Closest atoms and distances in Å follow each position.
Sites, in units of the cell vectors:
Co 0.6355 0.5000 0.1355  1 Co 2.54, 6 Tm 2.76-2.81
Tm 0.1836 0.7821 0.9656  3 Co 2.87-3.10, 1 Ga 3.11
Tm 0.6798 0.8748 0.1950  3 Co 2.69-2.81
Tm 0.5633 0.2645 0.2988  1 Co 2.76, 1 Ga 2.97
Tm 0.8164 0.2179 0.0344  3 Co 2.87-3.10, 1 Ga 3.11
Tm 0.9657 0.2645 0.7012  1 Co 2.76, 1 Ga 2.97
Ga 0.5000 0.0000 0.5000  12 Tm 3.20-3.57
Tm 0.3202 0.1252 0.8050  3 Co 2.69-2.81
Tm 0.4367 0.7355 0.7012  1 Co 2.76, 1 Ga 2.97
Tm 0.1836 0.2179 0.4015  3 Co 2.87-3.10, 1 Ga 3.11
Tm 0.3202 0.5152 0.1950  3 Co 2.69-2.81
Co 0.8857 0.8857 0.0000  1 Co 2.23
Tm 0.8164 0.7821 0.5985  3 Co 2.87-3.10, 1 Ga 3.11
Ga 0.0000 0.5000 0.5000  8 Tm 2.97-3.11
Co 0.1143 0.1143 0.0000  1 Co 2.23
Co 0.3645 0.5000 0.8645  1 Co 2.54, 6 Tm 2.76-2.81
Tm 0.6798 0.4848 0.8050  3 Co 2.69-2.81
Tm 0.0343 0.7355 0.2988  1 Co 2.76, 1 Ga 2.97

***

Record 3
## UGaCo (GGA-PBE)

Data for crystalline UGaCo at its relaxed geometry.

Computed properties:
E_form (eV/atom): -0.32
SG: No. 38

abc: 3.9634 6.6233 6.6083
angles: 120.07 90.00 90.00
Closest atoms and distances in Å follow each position.
Sites, in units of the cell vectors:
U 0.5000 0.0009 0.5799  5 Co 2.78-2.81, 2 Ga 3.00
Co 0.0000 0.3318 0.6656  3 Ga 2.56-2.59, 6 U 2.79-2.81
Ga 0.0000 0.0010 0.2388  4 Co 2.53-2.59, 2 Ga 2.72-2.73
Co 0.0000 0.6662 0.3344  3 Ga 2.56-2.59, 6 U 2.79-2.81
U 0.5000 0.5800 0.0000  5 Co 2.78-2.81, 2 Ga 3.01
Ga 0.0000 0.2370 0.0000  4 Co 2.53-2.58, 2 Ga 2.72
Co 0.5000 0.9999 0.0000  6 Ga 2.53, 3 U 2.78
Ga 0.0000 0.7622 0.7612  4 Co 2.53-2.59, 2 Ga 2.72-2.73
U 0.5000 0.4210 0.4201  5 Co 2.78-2.81, 2 Ga 3.00

***

Record 4
## U2GaCo2 (GGA-PBE)

Data for crystalline U2GaCo2 at its relaxed geometry.

Computed properties:
E_form (eV/atom): -0.26
SG: No. 127

abc: 7.1126 7.1126 3.3658
angles: 90.00 90.00 90.00
Closest atoms and distances in Å follow each position.
Sites, in units of the cell vectors:
U 0.8266 0.6734 0.5000  6 Co 2.57-2.77
U 0.1734 0.3266 0.5000  6 Co 2.57-2.77
Ga 0.5000 0.5000 0.0000  4 Co 2.78
Ga 0.0000 0.0000 0.0000  4 Co 2.78
Co 0.8667 0.3667 0.0000  6 U 2.57-2.77, 1 Co 2.68, 2 Ga 2.78
Co 0.1333 0.6333 0.0000  6 U 2.57-2.77, 1 Co 2.68, 2 Ga 2.78
Co 0.3667 0.1333 0.0000  6 U 2.57-2.77, 1 Co 2.68, 2 Ga 2.78
U 0.6734 0.1734 0.5000  6 Co 2.57-2.77
U 0.3266 0.8266 0.5000  6 Co 2.57-2.77
Co 0.6333 0.8667 0.0000  6 U 2.57-2.77, 1 Co 2.68, 2 Ga 2.78